[1]
Compound: ErMgCd2
Source: Materials Project
Functional: r²SCAN
Structure: optimized geometry

Cell: 7.1080 7.1080 7.1080 Å, 90.00 90.00 90.00°
Closest atoms and distances in Å follow each position.
Space group Fm-3m (No. 225)
One atom of each set of equivalent atoms:
Er (0.0000, 0.0000, 0.0000) x4  8 Cd 3.08
Mg (0.0000, 0.0000, 0.5000) x4  8 Cd 3.08
Cd (0.2500, 0.2500, 0.2500) x8  4 Er 3.08, 4 Mg 3.08

Calculated values
total magnetic moment = 0.0 Bohr magnetons per cell
formation enthalpy at 0 K = -322 meV/atom

=====

[2]
Compound: Er4CdNi
Source: Materials Project
Functional: r²SCAN
Structure: optimized geometry

Cell: 13.2921 13.2921 13.2921 Å, 90.00 90.00 90.00°
Closest atoms and distances in Å follow each position.
Space group F-43m (No. 216)
One atom of each set of equivalent atoms:
Er (0.0000, 0.0000, 0.1871) x24  2 Cd 3.19, 2 Ni 3.40, 10 Er 3.40-3.52
Er (0.0613, 0.2500, 0.2500) x24  2 Ni 2.75
Er (0.0987, 0.0987, 0.5987) x16  3 Ni 2.75
Cd (0.1691, 0.1691, 0.8309) x16  3 Cd 3.04, 6 Er 3.19-3.36
Ni (0.1076, 0.1076, 0.3924) x16  6 Er 2.75

Calculated values
total magnetic moment = 0.0 Bohr magnetons per cell
formation enthalpy at 0 K = -325 meV/atom

=====

[3]
Compound: ErCdNi4
Source: Materials Project
Functional: r²SCAN
Structure: optimized geometry

Cell: 6.9303 6.9303 6.9303 Å, 90.00 90.00 90.00°
Closest atoms and distances in Å follow each position.
Space group F-43m (No. 216)
One atom of each set of equivalent atoms:
Er (0.0000, 0.0000, 0.0000) x4  12 Ni 2.88, 4 Cd 3.00
Cd (0.2500, 0.2500, 0.2500) x4  12 Ni 2.87, 4 Er 3.00
Ni (0.1240, 0.1240, 0.6240) x16  6 Ni 2.43-2.47

Calculated values
total magnetic moment = 2.8 Bohr magnetons per cell
formation enthalpy at 0 K = -343 meV/atom

=====

[4]
Compound: Er2CdOs
Source: Materials Project
Functional: r²SCAN
Structure: optimized geometry

Cell: 6.9861 6.9861 6.9861 Å, 90.00 90.00 90.00°
Closest atoms and distances in Å follow each position.
Space group Fm-3m (No. 225)
One atom of each set of equivalent atoms:
Er (0.2500, 0.2500, 0.2500) x8  4 Os 3.03, 4 Cd 3.03
Cd (0.0000, 0.0000, 0.0000) x4  8 Er 3.03
Os (0.0000, 0.0000, 0.5000) x4  8 Er 3.03

Calculated values
total magnetic moment = 0.0 Bohr magnetons per cell
formation enthalpy at 0 K = -332 meV/atom

=====

[5]
Compound: Er2CdPd2
Source: Materials Project
Functional: r²SCAN
Structure: optimized geometry

Cell: 7.6595 7.6595 3.6238 Å, 90.00 90.00 90.00°
Closest atoms and distances in Å follow each position.
Space group P4/mbm (No. 127)
One atom of each set of equivalent atoms:
Er (0.1713, 0.3287, 0.0000) x4  6 Pd 2.82-2.95
Cd (0.0000, 0.0000, 0.5000) x2  4 Pd 3.01
Pd (0.1294, 0.6294, 0.5000) x4  1 Pd 2.80, 6 Er 2.82-2.95, 2 Cd 3.01

Calculated values
total magnetic moment = 0.0 Bohr magnetons per cell
formation enthalpy at 0 K = -841 meV/atom

=====

[6]
Compound: Er4CdPt
Source: Materials Project
Functional: r²SCAN
Structure: optimized geometry

Cell: 13.4834 13.4834 13.4834 Å, 90.00 90.00 90.00°
Closest atoms and distances in Å follow each position.
Space group F-43m (No. 216)
One atom of each set of equivalent atoms:
Er (0.0000, 0.0000, 0.1860) x24  2 Cd 3.22, 10 Er 3.46-3.57, 2 Pt 3.46
Er (0.0600, 0.2500, 0.7500) x24  2 Pt 2.80
Er (0.1027, 0.1027, 0.3973) x16  3 Pt 2.82
Cd (0.1684, 0.1684, 0.1684) x16  3 Cd 3.11, 9 Er 3.22-3.45
Pt (0.1066, 0.1066, 0.6066) x16  6 Er 2.80-2.82

Calculated values
total magnetic moment = 0.0 Bohr magnetons per cell
formation enthalpy at 0 K = -694 meV/atom

=====

[7]
Compound: Er2CdS4
Source: Materials Project
Functional: r²SCAN
Structure: optimized geometry

Cell: 11.1534 11.1534 11.1534 Å, 90.00 90.00 90.00°
Closest atoms and distances in Å follow each position.
Space group Fd-3m (No. 227, origin choice 2)
One atom of each set of equivalent atoms:
Er (0.0000, 0.0000, 0.0000) x16  6 S 2.71
Cd (0.1250, 0.1250, 0.6250) x8  4 S 2.56
S (0.0077, 0.0077, 0.2423) x32  1 Cd 2.56, 3 Er 2.71

Calculated values
total magnetic moment = 0.0 Bohr magnetons per cell
formation enthalpy at 0 K = -1935 meV/atom

=====

[8]
Compound: ErTmCd2
Source: Materials Project
Functional: r²SCAN
Structure: optimized geometry

Cell: 7.3502 7.3502 7.3502 Å, 90.00 90.00 90.00°
Closest atoms and distances in Å follow each position.
Space group Fm-3m (No. 225)
One atom of each set of equivalent atoms:
Er (0.0000, 0.0000, 0.0000) x4  8 Cd 3.18
Tm (0.0000, 0.0000, 0.5000) x4  8 Cd 3.18
Cd (0.2500, 0.2500, 0.2500) x8  4 Er 3.18, 4 Tm 3.18

Calculated values
total magnetic moment = 0.0 Bohr magnetons per cell
formation enthalpy at 0 K = -372 meV/atom

=====

[9]
Compound: EuCd11
Source: Materials Project
Functional: r²SCAN
Structure: optimized geometry

Cell: 14.2127 11.9756 7.6823 Å, 90.00 122.68 90.00°
Closest atoms and distances in Å follow each position.
Space group C2/m (No. 12)
One atom of each set of equivalent atoms:
Eu (0.2502, 0.0000, 0.1253) x4  18 Cd 3.64-3.85
Cd (0.0000, 0.0000, 0.5000) x2  10 Cd 2.94-3.14
Cd (0.0000, 0.5000, 0.0000) x2  10 Cd 2.95-3.14
Cd (0.0465, 0.1201, 0.2196) x8  7 Cd 2.88-3.08
Cd (0.0468, 0.3793, 0.3734) x8  8 Cd 2.89-3.22
Cd (0.1292, 0.2034, 0.7056) x8  8 Cd 2.88-3.23
Cd (0.1296, 0.2966, 0.0526) x8  8 Cd 2.88-3.23
Cd (0.2498, 0.0000, 0.6246) x4  12 Cd 3.14-3.23
Cd (0.2500, 0.2500, 0.5000) x4  10 Cd 2.94-3.14

Calculated values
total magnetic moment = 28.4 Bohr magnetons per cell
formation enthalpy at 0 K = -156 meV/atom

=====

[10]
Compound: EuCd2
Source: Materials Project
Functional: r²SCAN
Structure: optimized geometry

Cell: 5.0445 7.7947 8.4247 Å, 90.00 90.00 90.00°
Closest atoms and distances in Å follow each position.
Space group Imma (No. 74)
One atom of each set of equivalent atoms:
Eu (0.0000, 0.2500, 0.0421) x4  12 Cd 3.42-3.61
Cd (0.0000, 0.0528, 0.6649) x8  4 Cd 2.90-3.07

Calculated values
total magnetic moment = 29.3 Bohr magnetons per cell
formation enthalpy at 0 K = -382 meV/atom

=====

[11]
Compound: EuCd
Source: Materials Project
Functional: r²SCAN
Structure: optimized geometry

Cell: 3.9169 3.9169 3.9169 Å, 90.00 90.00 90.00°
Closest atoms and distances in Å follow each position.
Space group Pm-3m (No. 221)
One atom of each set of equivalent atoms:
Eu (0.0000, 0.0000, 0.0000) x1  8 Cd 3.39
Cd (0.5000, 0.5000, 0.5000) x1  8 Eu 3.39

Calculated values
total magnetic moment = 7.2 Bohr magnetons per cell
formation enthalpy at 0 K = -379 meV/atom

=====

[12]
Compound: EuCdGe
Source: Materials Project
Functional: r²SCAN
Structure: optimized geometry

Cell: 7.6017 4.5412 8.4742 Å, 90.00 90.00 90.00°
Closest atoms and distances in Å follow each position.
Space group Pnma (No. 62)
One atom of each set of equivalent atoms:
Eu (0.0155, 0.2500, 0.1885) x4  5 Ge 3.19-3.27, 6 Cd 3.33-3.54
Cd (0.1543, 0.2500, 0.5675) x4  4 Ge 2.78-2.94
Ge (0.2294, 0.7500, 0.3898) x4  4 Cd 2.78-2.94

Calculated values
total magnetic moment = 28.0 Bohr magnetons per cell
formation enthalpy at 0 K = -597 meV/atom

=====

[13]
Compound: EuCdHg2
Source: Materials Project
Functional: r²SCAN
Structure: optimized geometry

Cell: 7.3715 7.3715 7.3715 Å, 90.00 90.00 90.00°
Closest atoms and distances in Å follow each position.
Space group Fm-3m (No. 225)
One atom of each set of equivalent atoms:
Eu (0.0000, 0.0000, 0.0000) x4  8 Hg 3.19
Cd (0.0000, 0.0000, 0.5000) x4  8 Hg 3.19
Hg (0.2500, 0.2500, 0.2500) x8  4 Cd 3.19, 4 Eu 3.19

Calculated values
total magnetic moment = 28.6 Bohr magnetons per cell
formation enthalpy at 0 K = -460 meV/atom

=====

[14]
Compound: Eu2MgCd
Source: Materials Project
Functional: r²SCAN
Structure: optimized geometry

Cell: 7.9534 7.9534 7.9534 Å, 90.00 90.00 90.00°
Closest atoms and distances in Å follow each position.
Space group Fm-3m (No. 225)
One atom of each set of equivalent atoms:
Eu (0.2500, 0.2500, 0.2500) x8  4 Cd 3.44, 4 Mg 3.44
Mg (0.0000, 0.0000, 0.0000) x4  8 Eu 3.44
Cd (0.0000, 0.0000, 0.5000) x4  8 Eu 3.44

Calculated values
total magnetic moment = 58.3 Bohr magnetons per cell
formation enthalpy at 0 K = -208 meV/atom

=====

[15]
Compound: Eu2CdPb
Source: Materials Project
Functional: r²SCAN
Structure: optimized geometry

Cell: 7.9220 7.9220 7.9220 Å, 90.00 90.00 90.00°
Closest atoms and distances in Å follow each position.
Space group Fm-3m (No. 225)
One atom of each set of equivalent atoms:
Eu (0.2500, 0.2500, 0.2500) x8  4 Cd 3.43, 4 Pb 3.43
Cd (0.0000, 0.0000, 0.0000) x4  8 Eu 3.43
Pb (0.0000, 0.0000, 0.5000) x4  8 Eu 3.43

Calculated values
total magnetic moment = 56.4 Bohr magnetons per cell
formation enthalpy at 0 K = -635 meV/atom

=====

[16]
Compound: EuCdPb
Source: Materials Project
Functional: r²SCAN
Structure: optimized geometry

Cell: 5.0315 5.0315 7.9784 Å, 90.00 90.00 120.00°
Closest atoms and distances in Å follow each position.
Space group P6_3mc (No. 186)
One atom of each set of equivalent atoms:
Eu (0.0000, 0.0000, 0.0000) x2  3 Cd 3.32, 3 Pb 3.34
Cd (0.3333, 0.6667, 0.2013) x2  4 Pb 2.99-3.26, 3 Eu 3.32
Pb (0.3333, 0.6667, 0.7923) x2  4 Cd 2.99-3.26, 3 Eu 3.34

Calculated values
total magnetic moment = 14.0 Bohr magnetons per cell
formation enthalpy at 0 K = -569 meV/atom

=====

[17]
Compound: EuCdPt
Source: Materials Project
Functional: r²SCAN
Structure: optimized geometry

Cell: 7.3881 4.3525 8.6803 Å, 90.00 90.00 90.00°
Closest atoms and distances in Å follow each position.
Space group Pnma (No. 62)
One atom of each set of equivalent atoms:
Eu (0.0382, 0.2500, 0.1789) x4  5 Pt 3.11-3.13, 5 Cd 3.39-3.41
Cd (0.1385, 0.2500, 0.5619) x4  4 Pt 2.83-2.88
Pt (0.2429, 0.7500, 0.3715) x4  4 Cd 2.83-2.88, 5 Eu 3.11-3.13

Calculated values
total magnetic moment = 28.1 Bohr magnetons per cell
formation enthalpy at 0 K = -836 meV/atom

=====

[18]
Compound: EuCd2Sb2
Source: Materials Project
Functional: r²SCAN
Structure: optimized geometry

Cell: 4.7439 4.7439 7.7045 Å, 90.00 90.00 120.00°
Closest atoms and distances in Å follow each position.
Space group P-3m1 (No. 164)
One atom of each set of equivalent atoms:
Eu (0.0000, 0.0000, 0.0000) x1  6 Sb 3.33
Cd (0.3333, 0.6667, 0.6347) x2  4 Sb 2.89-3.00
Sb (0.3333, 0.6667, 0.2456) x2  4 Cd 2.89-3.00

Calculated values
total magnetic moment = 7.0 Bohr magnetons per cell
formation enthalpy at 0 K = -630 meV/atom

=====

[19]
Compound: Eu2CdSn
Source: Materials Project
Functional: r²SCAN
Structure: optimized geometry

Cell: 7.8681 7.8681 7.8681 Å, 90.00 90.00 90.00°
Closest atoms and distances in Å follow each position.
Space group Fm-3m (No. 225)
One atom of each set of equivalent atoms:
Eu (0.2500, 0.2500, 0.2500) x8  4 Cd 3.41, 4 Sn 3.41
Cd (0.0000, 0.0000, 0.0000) x4  8 Eu 3.41
Sn (0.0000, 0.0000, 0.5000) x4  8 Eu 3.41

Calculated values
total magnetic moment = 56.5 Bohr magnetons per cell
formation enthalpy at 0 K = -669 meV/atom

=====

[20]
Compound: EuTl2Cd
Source: Materials Project
Functional: r²SCAN
Structure: optimized geometry

Cell: 5.3619 5.3619 13.1734 Å, 90.00 90.00 120.00°
Closest atoms and distances in Å follow each position.
Space group R-3m (No. 166, hexagonal axes)
One atom of each set of equivalent atoms:
Eu (0.0000, 0.0000, 0.0000) x3  8 Tl 3.29
Tl (0.0000, 0.0000, 0.2498) x6  4 Cd 3.28-3.30, 4 Eu 3.29
Cd (0.0000, 0.0000, 0.5000) x3  8 Tl 3.28-3.30

Calculated values
total magnetic moment = 20.8 Bohr magnetons per cell
formation enthalpy at 0 K = -322 meV/atom